# 1
PBE CsCu2F6, relaxed; final energy = -36.9 eV per formula unit; volume = 275.7 Å³/cell
1.0
0.000 5.166 5.166
5.166 0.000 5.166
5.166 5.166 0.000
Cs Cu F
2 4 12
direct
0.250 0.250 0.250 Cs
0.000 0.000 0.000 Cs
0.125 0.625 0.625 Cu
0.625 0.625 0.125 Cu
0.625 0.125 0.625 Cu
0.625 0.625 0.625 Cu
0.942 0.558 0.558 F
0.308 0.308 0.692 F
0.692 0.692 0.308 F
0.558 0.942 0.942 F
0.308 0.692 0.692 F
0.942 0.942 0.558 F
0.558 0.942 0.558 F
0.692 0.308 0.692 F
0.308 0.692 0.308 F
0.942 0.558 0.942 F
0.692 0.308 0.308 F
0.558 0.558 0.942 F

# 2
PBE SrCu2Sn2, relaxed; final energy = -19.6 eV per formula unit; volume = 114.2 Å³/cell
1.0
2.164 5.669 0.000
-2.164 5.669 0.000
0.000 1.475 4.656
Sr Cu Sn
1 2 2
direct
0.000 0.000 0.000 Sr
0.739 0.739 0.863 Cu
0.261 0.261 0.137 Cu
0.355 0.355 0.573 Sn
0.645 0.645 0.427 Sn

# 3
PBE PdN4Cl2O, relaxed; ΔE to the lowest computed polymorph = 0.0000 eV/atom; final energy = -41.2 eV per formula unit; volume = 352.8 Å³/cell
1.0
-4.098 3.825 -5.204
-5.335 1.467 5.280
2.870 5.093 1.484
Pd N Cl O
2 8 4 2
direct
0.500 0.500 0.000 Pd
0.000 0.000 0.000 Pd
0.727 0.669 0.000 N
0.273 0.331 0.000 N
0.227 0.831 0.000 N
0.773 0.169 0.000 N
0.331 0.727 0.000 N
0.669 0.273 0.000 N
0.169 0.227 0.000 N
0.831 0.773 0.000 N
0.803 0.303 0.500 Cl
0.197 0.697 0.500 Cl
0.303 0.197 0.500 Cl
0.697 0.803 0.500 Cl
0.500 0.000 0.000 O
0.000 0.500 0.000 O

# 4
PBE TlNi2S2, relaxed; final energy = -23.8 eV per formula unit; volume = 91.5 Å³/cell
1.0
-1.898 1.898 6.348
1.898 -1.898 6.348
1.898 1.898 -6.348
Tl Ni S
1 2 2
direct
0.000 0.000 0.000 Tl
0.750 0.250 0.500 Ni
0.250 0.750 0.500 Ni
0.345 0.345 0.000 S
0.655 0.655 0.000 S

# 5
PBE IrS2Cl3O7, relaxed; ΔE to the lowest computed polymorph = 0.0000 eV/atom; final energy = -66.8 eV per formula unit; volume = 1110.2 Å³/cell
1.0
-0.389 0.000 -8.490
0.000 -10.275 0.000
-12.749 0.000 -0.450
Ir S Cl O
2 4 6 14
direct
0.792 0.750 0.899 Ir
0.208 0.250 0.101 Ir
0.552 0.750 0.648 S
0.448 0.250 0.352 S
0.117 0.750 0.882 S
0.883 0.250 0.118 S
0.552 0.750 0.983 Cl
0.448 0.250 0.017 Cl
0.774 0.536 0.867 Cl
0.226 0.036 0.133 Cl
0.226 0.464 0.133 Cl
0.774 0.964 0.867 Cl
0.993 0.750 0.798 O
0.007 0.250 0.202 O
0.975 0.750 0.980 O
0.025 0.250 0.020 O
0.665 0.750 0.559 O
0.335 0.250 0.441 O
0.496 0.629 0.694 O
0.504 0.129 0.306 O
0.504 0.371 0.306 O
0.496 0.871 0.694 O
0.202 0.629 0.885 O
0.798 0.129 0.115 O
0.798 0.371 0.115 O
0.202 0.871 0.885 O

# 6
PBE KScB4H16, relaxed; ΔE to the lowest computed polymorph = 0.0000 eV/atom; final energy = -94.6 eV per formula unit; volume = 951.2 Å³/cell
1.0
8.305 0.000 0.000
0.000 9.272 0.000
0.000 0.000 12.353
K Sc B H
4 4 16 64
direct
0.250 0.637 0.111 K
0.750 0.137 0.389 K
0.250 0.863 0.611 K
0.750 0.363 0.889 K
0.250 0.172 0.055 Sc
0.750 0.672 0.445 Sc
0.250 0.328 0.555 Sc
0.750 0.828 0.945 Sc
0.250 0.982 0.178 B
0.750 0.482 0.322 B
0.250 0.518 0.678 B
0.750 0.018 0.822 B
0.250 0.420 0.382 B
0.750 0.920 0.118 B
0.250 0.080 0.882 B
0.750 0.580 0.618 B
0.021 0.317 0.079 B
0.979 0.817 0.421 B
0.479 0.183 0.579 B
0.521 0.683 0.921 B
0.979 0.683 0.921 B
0.021 0.183 0.579 B
0.521 0.817 0.421 B
0.479 0.317 0.079 B
0.980 0.194 0.054 H
0.020 0.694 0.446 H
0.520 0.306 0.554 H
0.480 0.806 0.946 H
0.020 0.806 0.946 H
0.980 0.306 0.554 H
0.480 0.694 0.446 H
0.520 0.194 0.054 H
0.100 0.308 0.163 H
0.900 0.808 0.337 H
0.400 0.192 0.663 H
0.600 0.692 0.837 H
0.900 0.692 0.837 H
0.100 0.192 0.663 H
0.600 0.808 0.337 H
0.400 0.308 0.163 H
0.250 0.879 0.237 H
0.750 0.379 0.263 H
0.250 0.621 0.737 H
0.750 0.121 0.763 H
0.370 0.983 0.118 H
0.630 0.483 0.382 H
0.130 0.517 0.618 H
0.870 0.017 0.882 H
0.630 0.017 0.882 H
0.370 0.517 0.618 H
0.870 0.483 0.382 H
0.130 0.983 0.118 H
0.250 0.096 0.228 H
0.750 0.596 0.272 H
0.250 0.404 0.728 H
0.750 0.904 0.772 H
0.369 0.456 0.436 H
0.631 0.956 0.064 H
0.131 0.044 0.936 H
0.869 0.544 0.564 H
0.631 0.544 0.564 H
0.369 0.044 0.936 H
0.869 0.956 0.064 H
0.131 0.456 0.436 H
0.908 0.397 0.091 H
0.092 0.897 0.409 H
0.592 0.103 0.591 H
0.408 0.603 0.909 H
0.092 0.603 0.909 H
0.908 0.103 0.591 H
0.408 0.897 0.409 H
0.592 0.397 0.091 H
0.250 0.286 0.379 H
0.750 0.786 0.121 H
0.250 0.214 0.879 H
0.750 0.714 0.621 H
0.250 0.474 0.294 H
0.750 0.974 0.206 H
0.250 0.026 0.794 H
0.750 0.526 0.706 H
0.112 0.361 0.007 H
0.888 0.861 0.493 H
0.388 0.139 0.507 H
0.612 0.639 0.993 H
0.888 0.639 0.993 H
0.112 0.139 0.507 H
0.612 0.861 0.493 H
0.388 0.361 0.007 H